Record 1
Compound: BiH18C3S3O18F9
Source: Materials Project
Functional: GGA-PBE
Structure: optimized geometry

Summary:
total moment	0.0	μB/f.u.
MP2020-corrected energy	-0.2058	Ha/atom
formation energy from the elements	-148.2	kJ/mol of atoms
space group	P6_3/m, No. 176

Lattice parameters (Å, degrees): 14.074 14.074 7.312 90.00 90.00 120.00
Element x y z (fractional)
Bi 0.333 0.667 0.250
Bi 0.667 0.333 0.750
H 0.098 0.645 0.141
H 0.098 0.645 0.359
H 0.131 0.493 0.041
H 0.131 0.493 0.459
H 0.232 0.508 0.574
H 0.232 0.508 0.926
H 0.276 0.768 0.574
H 0.276 0.768 0.926
H 0.355 0.453 0.141
H 0.355 0.453 0.359
H 0.362 0.869 0.041
H 0.362 0.869 0.459
H 0.453 0.098 0.641
H 0.453 0.098 0.859
H 0.492 0.724 0.574
H 0.492 0.724 0.926
H 0.493 0.362 0.541
H 0.493 0.362 0.959
H 0.507 0.638 0.041
H 0.507 0.638 0.459
H 0.508 0.276 0.074
H 0.508 0.276 0.426
H 0.547 0.902 0.141
H 0.547 0.902 0.359
H 0.638 0.131 0.541
H 0.638 0.131 0.959
H 0.645 0.547 0.641
H 0.645 0.547 0.859
H 0.724 0.232 0.074
H 0.724 0.232 0.426
H 0.768 0.492 0.074
H 0.768 0.492 0.426
H 0.869 0.507 0.541
H 0.869 0.507 0.959
H 0.902 0.355 0.641
H 0.902 0.355 0.859
C 0.009 0.777 0.750
C 0.223 0.232 0.750
C 0.232 0.009 0.250
C 0.768 0.991 0.750
C 0.777 0.768 0.250
C 0.991 0.223 0.250
S 0.059 0.677 0.750
S 0.323 0.382 0.750
S 0.382 0.059 0.250
S 0.618 0.941 0.750
S 0.677 0.618 0.250
S 0.941 0.323 0.250
O 0.014 0.614 0.581
O 0.014 0.614 0.919
O 0.143 0.656 0.250
O 0.179 0.745 0.750
O 0.207 0.547 0.006
O 0.207 0.547 0.494
O 0.255 0.434 0.750
O 0.341 0.793 0.006
O 0.341 0.793 0.494
O 0.344 0.487 0.250
O 0.386 0.399 0.581
O 0.386 0.399 0.919
O 0.399 0.014 0.081
O 0.399 0.014 0.419
O 0.434 0.179 0.250
O 0.453 0.659 0.006
O 0.453 0.659 0.494
O 0.487 0.143 0.750
O 0.513 0.857 0.250
O 0.547 0.341 0.506
O 0.547 0.341 0.994
O 0.566 0.821 0.750
O 0.601 0.986 0.581
O 0.601 0.986 0.919
O 0.614 0.601 0.081
O 0.614 0.601 0.419
O 0.656 0.513 0.750
O 0.659 0.207 0.506
O 0.659 0.207 0.994
O 0.745 0.566 0.250
O 0.793 0.453 0.506
O 0.793 0.453 0.994
O 0.821 0.255 0.250
O 0.857 0.344 0.750
O 0.986 0.386 0.081
O 0.986 0.386 0.419
F 0.045 0.841 0.600
F 0.045 0.841 0.900
F 0.102 0.278 0.250
F 0.159 0.204 0.600
F 0.159 0.204 0.900
F 0.176 0.898 0.250
F 0.204 0.045 0.100
F 0.204 0.045 0.400
F 0.278 0.176 0.750
F 0.722 0.824 0.250
F 0.796 0.955 0.600
F 0.796 0.955 0.900
F 0.824 0.102 0.750
F 0.841 0.796 0.100
F 0.841 0.796 0.400
F 0.898 0.722 0.750
F 0.955 0.159 0.100
F 0.955 0.159 0.400

---

Record 2
Compound: La21Fe8Bi7C12
Source: Materials Project
Functional: GGA-PBE
Structure: optimized geometry

Summary:
total moment	1.4	μB/f.u.
formation energy from the elements	-51.2	kJ/mol of atoms
space group	Fm-3m, No. 225

Lattice parameters (Å, degrees): 11.664 11.664 11.664 60.00 60.00 60.00
Element x y z (fractional)
La 0.000 0.000 0.000
La 0.137 0.137 0.137
La 0.137 0.137 0.588
La 0.137 0.588 0.137
La 0.158 0.500 0.500
La 0.158 0.500 0.842
La 0.158 0.842 0.500
La 0.412 0.863 0.863
La 0.500 0.158 0.500
La 0.500 0.158 0.842
La 0.500 0.500 0.158
La 0.500 0.500 0.842
La 0.500 0.842 0.158
La 0.500 0.842 0.500
La 0.588 0.137 0.137
La 0.842 0.158 0.500
La 0.842 0.500 0.158
La 0.842 0.500 0.500
La 0.863 0.412 0.863
La 0.863 0.863 0.412
La 0.863 0.863 0.863
Fe 0.089 0.304 0.304
Fe 0.304 0.089 0.304
Fe 0.304 0.304 0.089
Fe 0.304 0.304 0.304
Fe 0.696 0.696 0.696
Fe 0.696 0.696 0.911
Fe 0.696 0.911 0.696
Fe 0.911 0.696 0.696
Bi 0.209 0.209 0.791
Bi 0.209 0.791 0.209
Bi 0.209 0.791 0.791
Bi 0.500 0.500 0.500
Bi 0.791 0.209 0.209
Bi 0.791 0.209 0.791
Bi 0.791 0.791 0.209
C 0.109 0.109 0.391
C 0.109 0.391 0.109
C 0.109 0.391 0.391
C 0.391 0.109 0.109
C 0.391 0.109 0.391
C 0.391 0.391 0.109
C 0.609 0.609 0.891
C 0.609 0.891 0.609
C 0.609 0.891 0.891
C 0.891 0.609 0.609
C 0.891 0.609 0.891
C 0.891 0.891 0.609